1.
Compound: Re3Pb
Source: the Materials Project database
Functional: GGA-PBE
Structure: optimized geometry

Results
Spin magnetization in μB/f.u.: 0.00

Lattice parameters (Å, degrees): 4.576 4.576 4.576 60.00 60.00 60.00
Positions (direct):
Re: 0.000 0.000 0.000
Re: 0.250 0.250 0.250
Re: 0.750 0.750 0.750
Pb: 0.500 0.500 0.500


2.
Compound: Sc2O3
Source: the Materials Project database
Functional: GGA-PBE
Structure: optimized geometry

Lattice parameters (Å, degrees): 8.593 8.593 8.593 109.47 109.47 109.47
Positions (direct):
Sc: 0.000 0.000 0.000
Sc: 0.000 0.500 0.500
Sc: 0.036 0.786 0.250
Sc: 0.214 0.750 0.964
Sc: 0.250 0.036 0.786
Sc: 0.250 0.536 0.286
Sc: 0.286 0.250 0.536
Sc: 0.464 0.714 0.750
Sc: 0.500 0.000 0.500
Sc: 0.500 0.500 0.000
Sc: 0.536 0.286 0.250
Sc: 0.714 0.750 0.464
Sc: 0.750 0.464 0.714
Sc: 0.750 0.964 0.214
Sc: 0.786 0.250 0.036
Sc: 0.964 0.214 0.750
O: 0.011 0.465 0.737
O: 0.035 0.046 0.272
O: 0.046 0.272 0.035
O: 0.226 0.454 0.489
O: 0.228 0.274 0.763
O: 0.237 0.772 0.726
O: 0.263 0.989 0.535
O: 0.272 0.035 0.046
O: 0.274 0.763 0.228
O: 0.454 0.489 0.226
O: 0.465 0.737 0.011
O: 0.489 0.226 0.454
O: 0.511 0.774 0.546
O: 0.535 0.263 0.989
O: 0.546 0.511 0.774
O: 0.726 0.237 0.772
O: 0.728 0.965 0.954
O: 0.737 0.011 0.465
O: 0.763 0.228 0.274
O: 0.772 0.726 0.237
O: 0.774 0.546 0.511
O: 0.954 0.728 0.965
O: 0.965 0.954 0.728
O: 0.989 0.535 0.263


3.
Compound: TcSnSe
Source: the Materials Project database
Functional: GGA-PBE
Structure: optimized geometry

Results
Spin magnetization in μB/f.u.: 1.31

Lattice parameters (Å, degrees): 4.617 4.617 4.617 60.00 60.00 60.00
Positions (direct):
Tc: 0.000 0.000 0.000
Sn: 0.250 0.250 0.250
Se: 0.500 0.500 0.500


4.
Compound: Na2PH11O8
Source: the Materials Project database
Functional: GGA-PBE
Structure: optimized geometry

Results
Spin magnetization in μB/f.u.: 0.00
Largest piezoelectric modulus in C/m²: 0.13

Lattice parameters (Å, degrees): 7.173 6.439 9.310 90.00 90.00 90.00
Positions (direct):
Na: 0.000 0.002 0.000
Na: 0.000 0.961 0.576
Na: 0.500 0.039 0.076
Na: 0.500 0.998 0.500
P: 0.000 0.353 0.345
P: 0.500 0.647 0.845
H: 0.000 0.398 0.495
H: 0.111 0.686 0.804
H: 0.166 0.951 0.242
H: 0.209 0.352 0.099
H: 0.214 0.718 0.207
H: 0.247 0.366 0.932
H: 0.253 0.634 0.432
H: 0.286 0.282 0.707
H: 0.291 0.648 0.599
H: 0.334 0.049 0.742
H: 0.389 0.314 0.304
H: 0.500 0.602 0.995
H: 0.611 0.314 0.304
H: 0.666 0.049 0.742
H: 0.709 0.648 0.599
H: 0.714 0.282 0.707
H: 0.747 0.634 0.432
H: 0.753 0.366 0.932
H: 0.786 0.718 0.207
H: 0.791 0.352 0.099
H: 0.834 0.951 0.242
H: 0.889 0.686 0.804
O: 0.000 0.116 0.332
O: 0.000 0.778 0.807
O: 0.179 0.455 0.284
O: 0.230 0.267 0.012
O: 0.232 0.861 0.172
O: 0.268 0.139 0.672
O: 0.270 0.733 0.512
O: 0.321 0.545 0.784
O: 0.500 0.222 0.307
O: 0.500 0.884 0.832
O: 0.679 0.545 0.784
O: 0.730 0.733 0.512
O: 0.732 0.139 0.672
O: 0.768 0.861 0.172
O: 0.770 0.267 0.012
O: 0.821 0.455 0.284


5.
Compound: SiO2
Source: the Materials Project database
Functional: GGA-PBE
Structure: optimized geometry

Results
Spin magnetization in μB/f.u.: 0.00

Lattice parameters (Å, degrees): 17.409 17.409 21.574 90.12 90.12 163.10
Positions (direct):
Si: 0.010 0.076 0.821
Si: 0.060 0.836 0.996
Si: 0.073 0.832 0.145
Si: 0.076 0.010 0.321
Si: 0.164 0.940 0.504
Si: 0.166 0.766 0.510
Si: 0.168 0.927 0.355
Si: 0.234 0.834 0.990
Si: 0.237 0.684 0.933
Si: 0.285 0.623 0.679
Si: 0.316 0.763 0.567
Si: 0.377 0.715 0.821
Si: 0.381 0.506 0.478
Si: 0.437 0.458 0.603
Si: 0.458 0.437 0.103
Si: 0.494 0.619 0.022
Si: 0.506 0.381 0.978
Si: 0.542 0.563 0.897
Si: 0.563 0.542 0.397
Si: 0.619 0.494 0.522
Si: 0.623 0.285 0.179
Si: 0.684 0.237 0.433
Si: 0.715 0.377 0.321
Si: 0.763 0.316 0.067
Si: 0.766 0.166 0.010
Si: 0.832 0.073 0.645
Si: 0.834 0.234 0.490
Si: 0.836 0.060 0.496
Si: 0.924 0.990 0.679
Si: 0.927 0.168 0.855
Si: 0.940 0.164 0.004
Si: 0.990 0.924 0.179
O: 0.005 0.310 0.670
O: 0.017 0.983 0.250
O: 0.041 0.620 0.045
O: 0.069 0.910 0.321
O: 0.071 0.233 0.468
O: 0.090 0.931 0.179
O: 0.103 0.873 0.070
O: 0.125 0.534 0.518
O: 0.127 0.897 0.430
O: 0.147 0.170 0.633
O: 0.149 0.839 0.966
O: 0.161 0.851 0.534
O: 0.170 0.147 0.133
O: 0.210 0.479 0.841
O: 0.218 0.760 0.932
O: 0.233 0.071 0.968
O: 0.240 0.782 0.568
O: 0.248 0.444 0.022
O: 0.285 0.700 0.636
O: 0.300 0.715 0.864
O: 0.310 0.005 0.170
O: 0.316 0.363 0.844
O: 0.318 0.682 0.750
O: 0.363 0.316 0.344
O: 0.380 0.959 0.455
O: 0.422 0.502 0.544
O: 0.444 0.248 0.522
O: 0.466 0.533 0.420
O: 0.466 0.875 0.982
O: 0.467 0.534 0.080
O: 0.479 0.210 0.341
O: 0.498 0.578 0.956
O: 0.502 0.422 0.044
O: 0.521 0.790 0.659
O: 0.533 0.466 0.920
O: 0.534 0.125 0.018
O: 0.534 0.467 0.580
O: 0.556 0.752 0.478
O: 0.578 0.498 0.456
O: 0.620 0.041 0.545
O: 0.637 0.684 0.656
O: 0.682 0.318 0.250
O: 0.684 0.637 0.156
O: 0.690 0.995 0.830
O: 0.700 0.285 0.136
O: 0.715 0.300 0.364
O: 0.752 0.556 0.978
O: 0.760 0.218 0.432
O: 0.767 0.929 0.032
O: 0.782 0.240 0.068
O: 0.790 0.521 0.159
O: 0.830 0.853 0.867
O: 0.839 0.149 0.466
O: 0.851 0.161 0.034
O: 0.853 0.830 0.367
O: 0.873 0.103 0.570
O: 0.875 0.466 0.482
O: 0.897 0.127 0.930
O: 0.910 0.069 0.821
O: 0.929 0.767 0.532
O: 0.931 0.090 0.679
O: 0.959 0.380 0.955
O: 0.983 0.017 0.750
O: 0.995 0.690 0.330


6.
Compound: ZnAs2O4
Source: the Materials Project database
Functional: GGA-PBE
Structure: optimized geometry

Lattice parameters (Å, degrees): 4.651 5.118 18.369 90.00 90.27 90.00
Positions (direct):
Zn: 0.247 0.010 0.248
Zn: 0.247 0.490 0.748
Zn: 0.753 0.510 0.252
Zn: 0.753 0.990 0.752
As: 0.014 0.724 0.096
As: 0.014 0.776 0.596
As: 0.489 0.711 0.902
As: 0.489 0.789 0.402
As: 0.511 0.211 0.598
As: 0.511 0.289 0.098
As: 0.986 0.224 0.404
As: 0.986 0.276 0.904
O: 0.005 0.240 0.806
O: 0.005 0.260 0.306
O: 0.108 0.618 0.908
O: 0.108 0.882 0.408
O: 0.393 0.631 0.087
O: 0.393 0.869 0.587
O: 0.497 0.234 0.696
O: 0.497 0.266 0.196
O: 0.503 0.734 0.804
O: 0.503 0.766 0.304
O: 0.607 0.131 0.413
O: 0.607 0.369 0.913
O: 0.892 0.118 0.592
O: 0.892 0.382 0.092
O: 0.995 0.740 0.694
O: 0.995 0.760 0.194


no.,final energy (eV per formula unit),formation energy from the elements (kJ per mole of atoms)
1,-37.1,95.7
2,-45.3,-382.9
3,-15.2,71.7
4,-113.4,-148.9
5,-23.7,-313.9
6,-39.5,-163.6